1.
This record from the Materials Project database describes a relaxed structure of MgV4O8. The functional is GGA+U.

a = 5.670 Å, b = 5.670 Å, c = 5.191 Å
α = 96.66°, β = 96.66°, γ = 61.08°
Fractional positions:
Mg 0.000 0.000 0.000
V 0.241 0.759 0.500
V 0.290 0.290 0.922
V 0.710 0.710 0.078
V 0.759 0.241 0.500
O 0.098 0.623 0.148
O 0.103 0.103 0.352
O 0.377 0.902 0.852
O 0.397 0.397 0.674
O 0.603 0.603 0.326
O 0.623 0.098 0.148
O 0.897 0.897 0.648
O 0.902 0.377 0.852

## Properties
The total magnetization comes out at 0.4615 μB per atom. For the excess energy over the best structure of this formula in the dataset, the calculation gives 12 meV per atom. The theoretical density comes out at 4.09 g/cm³.



2.
This record from the Materials Project database describes a relaxed structure of Mg30TiCrO32. The functional is GGA+U.

a = 8.515 Å, b = 8.515 Å, c = 8.596 Å
α = 90.00°, β = 90.00°, γ = 90.00°
Fractional positions:
Mg 0.000 0.000 0.000
Mg 0.000 0.250 0.248
Mg 0.000 0.250 0.752
Mg 0.000 0.500 0.000
Mg 0.000 0.500 0.500
Mg 0.000 0.750 0.248
Mg 0.000 0.750 0.752
Mg 0.249 0.249 0.500
Mg 0.249 0.751 0.500
Mg 0.250 0.000 0.248
Mg 0.250 0.000 0.752
Mg 0.250 0.250 0.000
Mg 0.250 0.500 0.249
Mg 0.250 0.500 0.751
Mg 0.250 0.750 0.000
Mg 0.500 0.000 0.000
Mg 0.500 0.000 0.500
Mg 0.500 0.250 0.249
Mg 0.500 0.250 0.751
Mg 0.500 0.500 0.000
Mg 0.500 0.750 0.249
Mg 0.500 0.750 0.751
Mg 0.750 0.000 0.248
Mg 0.750 0.000 0.752
Mg 0.750 0.250 0.000
Mg 0.750 0.500 0.249
Mg 0.750 0.500 0.751
Mg 0.750 0.750 0.000
Mg 0.751 0.249 0.500
Mg 0.751 0.751 0.500
Ti 0.500 0.500 0.500
Cr 0.000 0.000 0.500
O 0.000 0.000 0.238
O 0.000 0.000 0.762
O 0.000 0.252 0.000
O 0.000 0.253 0.500
O 0.000 0.500 0.250
O 0.000 0.500 0.750
O 0.000 0.747 0.500
O 0.000 0.748 0.000
O 0.247 0.500 0.500
O 0.249 0.500 0.000
O 0.250 0.250 0.251
O 0.250 0.250 0.749
O 0.250 0.750 0.251
O 0.250 0.750 0.749
O 0.252 0.000 0.000
O 0.253 0.000 0.500
O 0.500 0.000 0.250
O 0.500 0.000 0.750
O 0.500 0.247 0.500
O 0.500 0.249 0.000
O 0.500 0.500 0.241
O 0.500 0.500 0.759
O 0.500 0.751 0.000
O 0.500 0.753 0.500
O 0.747 0.000 0.500
O 0.748 0.000 0.000
O 0.750 0.250 0.251
O 0.750 0.250 0.749
O 0.750 0.750 0.251
O 0.750 0.750 0.749
O 0.751 0.500 0.000
O 0.753 0.500 0.500

## Properties
The total magnetization comes out at 0.0937 μB per atom. The theoretical density comes out at 3.57 g/cm³.



3.
This record from the Materials Project database describes a relaxed structure of Li3MnPCO7. The functional is GGA+U.

a = 9.567 Å, b = 6.479 Å, c = 9.841 Å
α = 90.00°, β = 116.30°, γ = 90.00°
Fractional positions:
Li 0.103 0.249 0.438
Li 0.103 0.251 0.938
Li 0.286 0.012 0.760
Li 0.286 0.488 0.260
Li 0.353 0.746 0.066
Li 0.353 0.754 0.566
Li 0.647 0.246 0.434
Li 0.647 0.254 0.934
Li 0.714 0.512 0.740
Li 0.714 0.988 0.240
Li 0.897 0.749 0.062
Li 0.897 0.751 0.562
Mn 0.269 0.002 0.264
Mn 0.269 0.498 0.764
Mn 0.731 0.502 0.236
Mn 0.731 0.998 0.736
P 0.407 0.248 0.064
P 0.407 0.252 0.564
P 0.593 0.748 0.436
P 0.593 0.752 0.936
C 0.042 0.748 0.873
C 0.042 0.752 0.373
C 0.958 0.248 0.627
C 0.958 0.252 0.127
O 0.070 0.740 0.512
O 0.070 0.760 0.012
O 0.104 0.250 0.235
O 0.104 0.250 0.735
O 0.153 0.735 0.832
O 0.153 0.765 0.332
O 0.310 0.056 0.068
O 0.310 0.063 0.566
O 0.310 0.437 0.066
O 0.310 0.444 0.568
O 0.423 0.250 0.412
O 0.423 0.250 0.912
O 0.426 0.744 0.303
O 0.426 0.756 0.803
O 0.574 0.244 0.197
O 0.574 0.256 0.697
O 0.577 0.750 0.088
O 0.577 0.750 0.588
O 0.690 0.556 0.432
O 0.690 0.563 0.934
O 0.690 0.937 0.434
O 0.690 0.944 0.932
O 0.847 0.235 0.668
O 0.847 0.265 0.168
O 0.896 0.750 0.265
O 0.896 0.750 0.765
O 0.930 0.240 0.988
O 0.930 0.260 0.488

## Properties
The total magnetization comes out at 0.3846 μB per atom. For the excess energy over the best structure of this formula in the dataset, the calculation gives 16 meV per atom. The theoretical density comes out at 2.80 g/cm³.



4.
This record from the Materials Project database describes a relaxed structure of NiAgF3. The functional is GGA+U.

a = 5.673 Å, b = 5.673 Å, c = 7.634 Å
α = 90.00°, β = 90.00°, γ = 148.82°
Fractional positions:
Ni 0.000 0.000 0.000
Ni 0.000 0.000 0.500
Ag 0.255 0.745 0.750
Ag 0.745 0.255 0.250
F 0.061 0.939 0.250
F 0.380 0.620 0.048
F 0.380 0.620 0.452
F 0.620 0.380 0.548
F 0.620 0.380 0.952
F 0.939 0.061 0.750

## Properties
The total magnetization comes out at 0.4000 μB per atom. The theoretical density comes out at 5.84 g/cm³.



5.
This record from the Materials Project database describes a relaxed structure of MgMn6O4F8. The functional is GGA+U.

a = 5.303 Å, b = 5.678 Å, c = 8.038 Å
α = 88.82°, β = 84.54°, γ = 84.61°
Fractional positions:
Mg 0.000 0.000 0.000
Mn 0.014 0.410 0.199
Mn 0.471 0.177 0.830
Mn 0.476 0.877 0.186
Mn 0.503 0.558 0.503
Mn 0.882 0.563 0.751
Mn 0.936 0.041 0.518
O 0.288 0.160 0.069
O 0.661 0.575 0.288
O 0.705 0.295 0.620
O 0.721 0.802 0.593
F 0.140 0.011 0.757
F 0.166 0.295 0.431
F 0.170 0.694 0.069
F 0.222 0.807 0.419
F 0.278 0.518 0.723
F 0.706 0.844 0.939
F 0.813 0.327 0.953
F 0.819 0.057 0.242

## Properties
The total magnetization comes out at 1.4739 μB per atom. For the excess energy over the best structure of this formula in the dataset, the calculation gives 16 meV per atom. The theoretical density comes out at 3.95 g/cm³.



6.
This record from the Materials Project database describes a relaxed structure of K2VAgF6. The functional is GGA+U.

a = 6.174 Å, b = 6.174 Å, c = 6.174 Å
α = 60.00°, β = 60.00°, γ = 60.00°
Fractional positions:
K 0.250 0.250 0.250
K 0.750 0.750 0.750
V 0.000 0.000 0.000
Ag 0.500 0.500 0.500
F 0.224 0.224 0.776
F 0.224 0.776 0.224
F 0.224 0.776 0.776
F 0.776 0.224 0.224
F 0.776 0.224 0.776
F 0.776 0.776 0.224

## Properties
The total magnetization comes out at 0.2000 μB per atom. The theoretical density comes out at 3.50 g/cm³.



7.
This record from the Materials Project database describes a relaxed structure of TiV3Fe2P6O24. The functional is GGA+U.

a = 8.539 Å, b = 8.539 Å, c = 8.539 Å
α = 61.08°, β = 61.08°, γ = 61.08°
Fractional positions:
Ti 0.000 0.000 0.000
V 0.287 0.287 0.287
V 0.502 0.502 0.502
V 0.785 0.785 0.785
Fe 0.144 0.144 0.144
Fe 0.644 0.644 0.644
P 0.103 0.686 0.394
P 0.186 0.600 0.893
P 0.394 0.103 0.686
P 0.600 0.893 0.186
P 0.686 0.394 0.103
P 0.893 0.186 0.600
O 0.028 0.639 0.829
O 0.055 0.202 0.405
O 0.084 0.883 0.231
O 0.139 0.762 0.960
O 0.140 0.528 0.329
O 0.202 0.405 0.055
O 0.231 0.084 0.883
O 0.258 0.650 0.457
O 0.329 0.140 0.528
O 0.381 0.589 0.735
O 0.405 0.055 0.202
O 0.457 0.258 0.650
O 0.528 0.329 0.140
O 0.552 0.904 0.704
O 0.589 0.735 0.381
O 0.639 0.829 0.028
O 0.650 0.457 0.258
O 0.704 0.552 0.904
O 0.735 0.381 0.589
O 0.762 0.960 0.139
O 0.829 0.028 0.639
O 0.883 0.231 0.084
O 0.904 0.704 0.552
O 0.960 0.139 0.762

## Properties
The total magnetization comes out at 0.3624 μB per atom. The theoretical density comes out at 3.25 g/cm³.



8.
This record from the Materials Project database describes a relaxed structure of Li2Mn3FeO8. The functional is GGA+U.

a = 5.854 Å, b = 5.854 Å, c = 9.487 Å
α = 90.16°, β = 90.16°, γ = 118.76°
Fractional positions:
Li 0.004 0.996 0.500
Li 0.344 0.679 0.109
Li 0.679 0.344 0.609
Li 0.996 0.004 0.000
Mn 0.171 0.833 0.785
Mn 0.174 0.343 0.782
Mn 0.343 0.174 0.282
Mn 0.662 0.834 0.784
Mn 0.833 0.171 0.285
Mn 0.834 0.662 0.284
Fe 0.332 0.666 0.504
Fe 0.666 0.332 0.004
O 0.046 0.529 0.666
O 0.162 0.319 0.397
O 0.163 0.834 0.393
O 0.319 0.162 0.897
O 0.354 0.702 0.897
O 0.479 0.966 0.665
O 0.492 0.531 0.663
O 0.529 0.046 0.166
O 0.531 0.492 0.163
O 0.681 0.843 0.396
O 0.702 0.354 0.397
O 0.834 0.163 0.893
O 0.843 0.681 0.896
O 0.966 0.479 0.165
O 0.975 0.986 0.185
O 0.986 0.975 0.685

## Properties
The total magnetization comes out at 0.0000 μB per atom. For the excess energy over the best structure of this formula in the dataset, the calculation gives 28 meV per atom. The theoretical density comes out at 4.22 g/cm³.



9.
This record from the Materials Project database describes a relaxed structure of MnSb3P4O16. The functional is GGA+U.

a = 4.990 Å, b = 6.703 Å, c = 10.297 Å
α = 90.00°, β = 91.31°, γ = 90.00°
Fractional positions:
Mn 0.000 0.000 0.000
Sb 0.386 0.000 0.496
Sb 0.486 0.500 0.066
Sb 0.870 0.500 0.561
P 0.046 0.500 0.884
P 0.297 0.500 0.370
P 0.547 0.000 0.175
P 0.830 0.000 0.689
O 0.121 0.500 0.740
O 0.133 0.000 0.668
O 0.168 0.322 0.449
O 0.168 0.678 0.449
O 0.186 0.321 0.960
O 0.186 0.679 0.960
O 0.200 0.500 0.227
O 0.243 0.000 0.161
O 0.602 0.500 0.378
O 0.637 0.000 0.320
O 0.677 0.183 0.102
O 0.677 0.817 0.102
O 0.683 0.178 0.612
O 0.683 0.822 0.612
O 0.738 0.500 0.895
O 0.769 0.000 0.832

## Properties
The total magnetization comes out at 0.1778 μB per atom. The theoretical density comes out at 3.86 g/cm³.



10.
This record from the Materials Project database describes a relaxed structure of Fe5O7F3. The functional is GGA+U.

a = 4.667 Å, b = 4.677 Å, c = 15.233 Å
α = 90.10°, β = 90.01°, γ = 91.57°
Fractional positions:
Fe 0.000 0.000 0.000
Fe 0.001 0.043 0.605
Fe 0.005 0.046 0.404
Fe 0.020 0.036 0.204
Fe 0.034 0.067 0.811
Fe 0.497 0.567 0.112
Fe 0.518 0.534 0.905
Fe 0.533 0.501 0.698
Fe 0.536 0.514 0.503
Fe 0.541 0.510 0.305
O 0.192 0.851 0.107
O 0.217 0.834 0.904
O 0.322 0.339 0.207
O 0.327 0.329 0.599
O 0.331 0.335 0.403
O 0.344 0.351 0.805
O 0.688 0.718 0.006
O 0.716 0.719 0.601
O 0.717 0.719 0.404
O 0.717 0.731 0.209
O 0.817 0.233 0.908
O 0.828 0.217 0.503
O 0.837 0.216 0.301
O 0.841 0.223 0.706
F 0.215 0.832 0.503
F 0.223 0.833 0.306
F 0.227 0.835 0.704
F 0.301 0.335 0.010
F 0.729 0.735 0.801
F 0.806 0.233 0.104

## Properties
The total magnetization comes out at 1.5335 μB per atom. For the excess energy over the best structure of this formula in the dataset, the calculation gives 25 meV per atom. The theoretical density comes out at 4.48 g/cm³.



11.
This record from the Materials Project database describes a relaxed structure of Sr2NdMn2O7. The functional is GGA+U.

a = 10.467 Å, b = 10.467 Å, c = 10.467 Å
α = 158.46°, β = 158.46°, γ = 30.65°
Fractional positions:
Sr 0.000 0.000 0.000
Sr 0.177 0.177 0.000
Nd 0.813 0.813 0.000
Mn 0.398 0.398 0.000
Mn 0.594 0.594 0.000
O 0.092 0.592 0.500
O 0.299 0.299 0.000
O 0.391 0.891 0.500
O 0.493 0.493 0.000
O 0.592 0.092 0.500
O 0.697 0.697 0.000
O 0.891 0.391 0.500

## Properties
The total magnetization comes out at 0.5833 μB per atom. The theoretical density comes out at 5.82 g/cm³.



12.
This record from the Materials Project database describes a relaxed structure of VOF. The functional is GGA+U.

a = 4.754 Å, b = 3.101 Å, c = 14.207 Å
α = 90.00°, β = 91.75°, γ = 90.00°
Fractional positions:
V 0.000 0.000 0.000
V 0.025 0.000 0.333
V 0.430 0.500 0.833
V 0.500 0.500 0.500
V 0.570 0.500 0.167
V 0.975 0.000 0.667
O 0.185 0.500 0.935
O 0.265 0.000 0.765
O 0.311 0.000 0.433
O 0.689 0.000 0.567
O 0.735 0.000 0.235
O 0.815 0.500 0.065
F 0.179 0.500 0.601
F 0.226 0.500 0.266
F 0.321 0.000 0.105
F 0.679 0.000 0.895
F 0.774 0.500 0.734
F 0.821 0.500 0.399

## Properties
The total magnetization comes out at 0.6667 μB per atom. The theoretical density comes out at 4.09 g/cm³.



13.
This record from the Materials Project database describes a relaxed structure of KLiNiO2. The functional is GGA+U.

a = 5.994 Å, b = 7.908 Å, c = 6.470 Å
α = 78.29°, β = 105.63°, γ = 76.07°
Fractional positions:
K 0.657 0.635 0.755
K 0.657 0.635 0.255
K 0.343 0.365 0.245
K 0.343 0.365 0.745
Li 0.348 0.963 0.846
Li 0.348 0.963 0.346
Li 0.652 0.037 0.154
Li 0.652 0.037 0.654
Ni 0.945 0.207 0.935
Ni 0.055 0.793 0.565
Ni 0.945 0.207 0.435
Ni 0.055 0.793 0.065
O 0.277 0.112 0.042
O 0.278 0.111 0.542
O 0.722 0.889 0.958
O 0.723 0.888 0.458
O 0.235 0.727 0.876
O 0.236 0.727 0.376
O 0.764 0.273 0.124
O 0.765 0.273 0.624

## Properties
The total magnetization comes out at 0.0000 μB per atom. The theoretical density comes out at 3.31 g/cm³.



Number 1: energy relative to the elements -2530 meV per atom. Number 2: energy relative to the elements -2976 meV per atom. Number 3: energy relative to the elements -2405 meV per atom. Number 4: energy relative to the elements -1858 meV per atom. Number 5: energy relative to the elements -2607 meV per atom. Number 6: energy relative to the elements -2693 meV per atom. Number 7: energy relative to the elements -2636 meV per atom. Number 8: energy relative to the elements -1976 meV per atom. Number 9: energy relative to the elements -2296 meV per atom. Number 10: energy relative to the elements -1727 meV per atom. Number 11: energy relative to the elements -2808 meV per atom. Number 12: energy relative to the elements -2806 meV per atom. Number 13: energy relative to the elements -1391 meV per atom.